(1)
VASP calculation (r2SCAN) on crystalline LiLaBi2 at its relaxed geometry.

Cell: 4.5602 4.5602 11.0077 Å, 90.00 90.00 90.00°
Positions (direct):
Li (0.2500, 0.7500, 0.0000)
Li (0.7500, 0.2500, 0.0000)
La (0.2500, 0.2500, 0.2580)
La (0.7500, 0.7500, 0.7420)
Bi (0.2500, 0.2500, 0.8419)
Bi (0.2500, 0.7500, 0.5000)
Bi (0.7500, 0.2500, 0.5000)
Bi (0.7500, 0.7500, 0.1581)

## Properties
SG: P4/nmm (129)
Raw total energy (eV/atom): -38.171
Energy relative to the elements (eV/atom): -0.8868

(2)
VASP calculation (r2SCAN) on crystalline LaSeS at its relaxed geometry.

Cell: 8.3995 4.1835 8.3951 Å, 90.00 90.25 90.00°
Positions (direct):
La (0.2143, 0.2162, 0.3726)
La (0.2143, 0.2838, 0.8726)
La (0.7857, 0.7162, 0.1274)
La (0.7857, 0.7838, 0.6274)
Se (0.4976, 0.6784, 0.3827)
Se (0.4976, 0.8216, 0.8827)
Se (0.5024, 0.1784, 0.1173)
Se (0.5024, 0.3216, 0.6173)
S (0.1336, 0.7396, 0.1258)
S (0.1336, 0.7604, 0.6258)
S (0.8664, 0.2396, 0.3742)
S (0.8664, 0.2604, 0.8742)

## Properties
SG: P2_1/c (14)
Raw total energy (eV/atom): -19.460
Energy relative to the elements (eV/atom): -2.0963

(3)
VASP calculation (r2SCAN) on crystalline BaI2 at its relaxed geometry.

Cell: 9.2478 9.2478 5.2445 Å, 90.00 90.00 120.00°
Positions (direct):
Ba (0.0000, 0.0000, 0.0000)
Ba (0.3333, 0.6667, 0.5000)
Ba (0.6667, 0.3333, 0.5000)
I (0.0000, 0.2572, 0.5000)
I (0.0000, 0.5931, 0.0000)
I (0.2572, 0.0000, 0.5000)
I (0.4069, 0.4069, 0.0000)
I (0.5931, 0.0000, 0.0000)
I (0.7428, 0.7428, 0.5000)

## Properties
SG: P-62m (189)
Raw total energy (eV/atom): -27.248
Energy relative to the elements (eV/atom): -2.0426

(4)
VASP calculation (r2SCAN) on crystalline LiAlGeO4 at its relaxed geometry.

Cell: 8.5178 8.5178 8.5178 Å, 107.86 107.86 107.86°
Positions (direct):
Li (0.0204, 0.1897, 0.7900)
Li (0.1897, 0.7900, 0.0204)
Li (0.3088, 0.7088, 0.4786)
Li (0.4786, 0.3088, 0.7088)
Li (0.7088, 0.4786, 0.3088)
Li (0.7900, 0.0204, 0.1897)
Al (0.0422, 0.8164, 0.6361)
Al (0.1167, 0.3492, 0.5265)
Al (0.3492, 0.5265, 0.1167)
Al (0.5265, 0.1167, 0.3492)
Al (0.6361, 0.0422, 0.8164)
Al (0.8164, 0.6361, 0.0422)
Ge (0.1481, 0.9702, 0.3811)
Ge (0.3811, 0.1481, 0.9702)
Ge (0.4541, 0.6807, 0.8620)
Ge (0.6807, 0.8620, 0.4541)
Ge (0.8620, 0.4541, 0.6807)
Ge (0.9702, 0.3811, 0.1481)
O (0.1609, 0.8378, 0.5021)
O (0.1988, 0.5306, 0.2188)
O (0.2034, 0.9235, 0.8694)
O (0.2188, 0.1988, 0.5306)
O (0.2792, 0.2979, 0.9669)
O (0.2946, 0.5753, 0.6294)
O (0.2979, 0.9669, 0.2792)
O (0.3369, 0.6611, 0.9967)
O (0.5021, 0.1609, 0.8378)
O (0.5306, 0.2188, 0.1988)
O (0.5614, 0.8927, 0.5874)
O (0.5753, 0.6294, 0.2946)
O (0.5874, 0.5614, 0.8927)
O (0.6034, 0.9094, 0.9366)
O (0.6294, 0.2946, 0.5753)
O (0.6611, 0.9967, 0.3369)
O (0.8378, 0.5021, 0.1609)
O (0.8694, 0.2034, 0.9235)
O (0.8926, 0.5874, 0.5614)
O (0.9094, 0.9366, 0.6034)
O (0.9235, 0.8694, 0.2034)
O (0.9366, 0.6034, 0.9094)
O (0.9669, 0.2792, 0.2979)
O (0.9967, 0.3369, 0.6611)

## Properties
SG: R3 (146)
Raw total energy (eV/atom): -9.237
Energy relative to the elements (eV/atom): -2.5393